# 1
## CaCu2O2 (PBE)

Data for a geometry-optimized CaCu2O2 structure.

crystal system	tetragonal
MP2020-corrected energy	-5.697	eV per atom
VASP energy	-27.11	eV per formula unit
ΔH_f (0 K)	-8.38	eV/f.u.
density	4.90	g/cm3

Structure (extended XYZ):
```
10
Lattice="-2.667 2.667 4.742 2.667 -2.667 4.742 2.667 2.667 -4.742" Properties=species:S:1:pos:R:3 pbc="T T T"
Ca 2.667 1.334 1.185
Ca 0.000 1.334 3.556
Cu 0.000 0.000 0.000
Cu 1.334 1.334 -2.371
Cu 1.334 -1.334 2.371
Cu 0.000 2.667 0.000
O 2.667 1.334 -1.080
O 0.000 1.334 1.290
O 2.667 1.334 3.451
O 0.000 1.334 5.822
```

---

# 2
## CaCu2O4 (PBE)

Data for a geometry-optimized CaCu2O4 structure.

crystal system	trigonal
energy above the lowest structure with this stoichiometry	252	meV per atom
MP2020-corrected energy	-5.743	eV per atom
VASP energy	-37.45	eV per formula unit
ΔH_f (0 K)	-10.20	eV/f.u.
density	4.46	g/cm3

Structure (extended XYZ):
```
14
Lattice="3.082 1.780 5.235 -3.082 1.780 5.235 0.000 -3.559 5.235" Properties=species:S:1:pos:R:3 pbc="T T T"
Ca 0.000 0.000 0.000
Ca 0.000 0.000 6.241
Cu 0.000 -1.815 8.794
Cu -1.572 0.908 8.794
Cu 0.000 0.000 12.301
Cu 1.572 0.908 8.794
O 0.000 0.000 2.244
O 0.000 -1.505 4.514
O -1.303 0.752 4.514
O -1.422 -0.821 7.909
O 1.303 0.752 4.514
O 1.422 -0.821 7.909
O 0.000 1.641 7.909
O 0.000 0.000 10.437
```

---

# 3
## CaCu2O4 (PBE)

Data for a geometry-optimized CaCu2O4 structure.

crystal system	tetragonal
energy above the lowest structure with this stoichiometry	0	meV per atom
MP2020-corrected energy	-5.995	eV per atom
VASP energy	-39.22	eV per formula unit
ΔH_f (0 K)	-11.97	eV/f.u.
density	4.78	g/cm3

Structure (extended XYZ):
```
14
Lattice="-2.912 2.912 4.738 2.912 -2.912 4.738 2.912 2.912 -4.738" Properties=species:S:1:pos:R:3 pbc="T T T"
Ca 0.000 1.456 1.184
Ca 2.912 1.456 3.553
Cu 1.456 1.456 -2.369
Cu 1.456 -1.456 2.369
Cu 2.912 0.000 0.000
Cu 0.000 0.000 4.738
O 1.314 0.613 -0.711
O 2.070 0.143 1.658
O 1.599 -0.613 4.027
O 2.070 3.055 -1.658
O 0.843 -0.143 6.396
O 1.314 3.526 0.711
O 0.843 2.770 3.080
O 1.599 2.299 5.449
```

---

# 4
## CaCu2O4 (PBE)

Data for a geometry-optimized CaCu2O4 structure.

crystal system	monoclinic
energy above the lowest structure with this stoichiometry	289	meV per atom
MP2020-corrected energy	-5.707	eV per atom
VASP energy	-37.20	eV per formula unit
ΔH_f (0 K)	-9.95	eV/f.u.
density	4.61	g/cm3

Structure (extended XYZ):
```
14
Lattice="7.070 -1.503 0.000 7.070 1.503 0.000 -4.189 0.000 7.843" Properties=species:S:1:pos:R:3 pbc="T T T"
Ca 1.409 0.000 1.276
Ca 8.542 0.000 6.567
Cu -1.986 0.000 6.223
Cu 2.761 0.000 3.964
Cu 7.190 0.000 3.879
Cu 11.937 0.000 1.621
O -0.516 0.000 2.803
O 1.040 0.000 4.935
O 4.011 0.000 2.416
O 5.417 0.000 0.454
O 4.533 0.000 7.389
O 5.940 0.000 5.427
O 8.910 0.000 2.908
O 10.466 0.000 5.040
```

---

# 5
## CaCu2O4 (PBE)

Data for a geometry-optimized CaCu2O4 structure.

crystal system	orthorhombic
energy above the lowest structure with this stoichiometry	16	meV per atom
MP2020-corrected energy	-5.980	eV per atom
VASP energy	-39.11	eV per formula unit
ΔH_f (0 K)	-11.86	eV/f.u.
density	4.60	g/cm3

Structure (extended XYZ):
```
28
Lattice="3.473 0.000 0.000 0.000 10.300 0.000 0.000 0.000 9.335" Properties=species:S:1:pos:R:3 pbc="T T T"
Ca 0.344 1.593 2.334
Ca 0.344 3.557 7.001
Ca 3.130 6.743 2.334
Ca 3.130 8.707 7.001
Cu 1.277 6.311 5.314
Cu 1.277 6.311 8.689
Cu 1.277 9.139 0.647
Cu 1.277 9.139 4.021
Cu 2.196 1.161 5.314
Cu 2.196 1.161 8.689
Cu 2.196 3.989 0.647
Cu 2.196 3.989 4.021
O 0.241 7.725 0.000
O 0.241 7.725 4.668
O 1.347 5.584 1.048
O 1.347 5.584 3.619
O 1.347 9.866 5.716
O 1.347 9.866 8.287
O 1.370 7.092 7.001
O 1.370 8.357 2.334
O 2.103 1.942 7.001
O 2.103 3.208 2.334
O 2.127 0.434 1.048
O 2.127 0.434 3.619
O 2.127 4.716 5.716
O 2.127 4.716 8.287
O 3.232 2.575 0.000
O 3.232 2.575 4.668
```

---

# 6
## CaCu2O4 (PBE)

Data for a geometry-optimized CaCu2O4 structure.

crystal system	trigonal
energy above the lowest structure with this stoichiometry	238	meV per atom
MP2020-corrected energy	-5.757	eV per atom
VASP energy	-37.55	eV per formula unit
ΔH_f (0 K)	-10.31	eV/f.u.
density	4.57	g/cm3

Structure (extended XYZ):
```
42
Lattice="6.219 0.000 0.000 -3.109 5.386 0.000 0.000 0.000 15.043" Properties=species:S:1:pos:R:3 pbc="T T T"
Ca 0.000 0.000 0.000
Ca 0.000 0.000 3.551
Ca 0.000 3.590 4.236
Ca 0.000 3.590 9.774
Ca 0.000 3.590 13.415
Ca 3.109 1.795 8.380
Cu 0.000 0.000 9.319
Cu -1.551 2.695 1.648
Cu 0.000 1.749 6.760
Cu -1.595 4.511 6.760
Cu 1.563 0.902 11.737
Cu 1.551 2.695 1.648
Cu 0.000 5.381 1.648
Cu 3.109 1.795 4.951
Cu 3.109 1.795 14.225
Cu 1.595 4.511 6.760
Cu 4.656 0.902 11.737
Cu 3.109 3.581 11.737
O 0.000 0.000 5.799
O 0.000 0.000 12.802
O 0.000 1.540 10.631
O -1.776 4.616 10.631
O 0.000 1.976 2.573
O -1.398 4.398 2.573
O 1.267 0.732 7.998
O 0.000 3.590 0.515
O 0.000 3.590 7.556
O 1.849 1.067 0.629
O 3.109 0.005 5.738
O 1.559 2.690 5.738
O 3.109 0.314 12.873
O 1.827 2.536 12.873
O 1.398 4.398 2.573
O 3.109 1.795 3.074
O 3.109 1.795 10.674
O 1.776 4.616 10.631
O 4.370 1.067 0.629
O 3.109 3.251 0.629
O 4.952 0.732 7.998
O 3.109 3.922 7.998
O 4.392 2.536 12.873
O 4.660 2.690 5.738
```

---

# 7
## CaCuO2 (PBE)

Data for a geometry-optimized CaCuO2 structure.

crystal system	tetragonal
MP2020-corrected energy	-6.127	eV per atom
VASP energy	-23.13	eV per formula unit
ΔH_f (0 K)	-8.51	eV/f.u.
density	4.67	g/cm3

Structure (extended XYZ):
```
4
Lattice="3.875 0.000 0.000 0.000 3.875 0.000 0.000 0.000 3.210" Properties=species:S:1:pos:R:3 pbc="T T T"
Ca 0.000 0.000 0.000
Cu 1.937 1.937 1.605
O 0.000 1.937 1.605
O 1.937 0.000 1.605
```

---

# 8
## CaCu2O4 (PBE)

Data for a geometry-optimized CaCu2O4 structure.

crystal system	monoclinic
energy above the lowest structure with this stoichiometry	256	meV per atom
MP2020-corrected energy	-5.740	eV per atom
VASP energy	-37.43	eV per formula unit
ΔH_f (0 K)	-10.18	eV/f.u.
density	4.48	g/cm3

Structure (extended XYZ):
```
56
Lattice="5.484 -3.051 0.000 5.484 3.051 0.000 -5.122 0.000 20.492" Properties=species:S:1:pos:R:3 pbc="T T T"
Ca 0.000 0.000 0.000
Ca -1.302 0.000 15.267
Ca 0.962 0.000 12.852
Ca 2.810 0.000 10.165
Ca 5.029 0.000 2.083
Ca 4.811 0.000 7.587
Ca 7.013 0.000 5.015
Ca 4.060 0.000 17.207
Cu -2.816 0.000 12.041
Cu -3.141 0.000 17.917
Cu 1.743 0.000 3.003
Cu 1.453 1.559 15.455
Cu 4.220 1.561 4.992
Cu 0.931 0.000 7.078
Cu 0.631 0.000 18.518
Cu 5.563 1.547 10.256
Cu 3.074 1.517 20.376
Cu 1.453 -1.559 15.455
Cu 4.220 -1.561 4.992
Cu 5.250 0.000 13.143
Cu 8.941 0.000 2.412
Cu 8.438 0.000 9.017
Cu 3.074 -1.517 20.376
Cu 5.563 -1.547 10.256
O -3.059 0.000 13.876
O -0.146 0.000 3.083
O 0.011 1.565 14.232
O 2.828 1.572 3.672
O 4.060 1.712 1.118
O 1.644 1.557 11.348
O -1.002 0.000 11.567
O 2.112 0.000 0.867
O 0.757 0.000 9.169
O 1.673 1.673 19.104
O 4.065 1.576 9.122
O -1.102 0.000 19.090
O 2.886 1.761 16.657
O 2.703 0.000 6.764
O 5.691 1.555 6.154
O 0.558 0.000 16.683
O 4.876 0.000 4.267
O 2.293 0.000 14.726
O 0.011 -1.565 14.232
O 2.828 -1.572 3.672
O 1.644 -1.557 11.348
O 4.060 -1.712 1.118
O 7.232 0.000 1.567
O 4.819 0.000 11.334
O 3.756 0.000 19.450
O 6.656 0.000 8.984
O 4.065 -1.576 9.122
O 1.673 -1.673 19.104
O 5.691 -1.555 6.154
O 2.886 -1.761 16.657
O 6.174 0.000 16.304
O 9.067 0.000 5.839
```

---

# 9
## CaCuO2 (PBE)

Data for a geometry-optimized CaCuO2 structure.

crystal system	triclinic
MP2020-corrected energy	-5.995	eV per atom
VASP energy	-22.61	eV per formula unit
ΔH_f (0 K)	-7.98	eV/f.u.
density	4.13	g/cm3

Structure (extended XYZ):
```
16
Lattice="3.601 0.000 0.000 -0.649 7.756 0.000 -1.176 -2.295 7.802" Properties=species:S:1:pos:R:3 pbc="T T T"
Ca -0.070 2.299 1.224
Ca -0.189 4.344 3.987
Ca 1.965 1.118 3.815
Ca 1.845 3.162 6.577
Cu 0.357 7.284 1.166
Cu 0.149 0.568 6.207
Cu 1.627 4.894 1.594
Cu 1.418 -1.823 6.636
O -0.160 5.477 1.504
O 0.189 0.432 2.561
O -0.021 2.257 5.214
O 0.098 4.275 7.485
O 1.677 1.187 0.317
O 1.796 3.205 2.588
O 1.586 5.030 5.241
O 1.935 -0.015 6.297
```

---

# 10
## CaCu2O4 (PBE)

Data for a geometry-optimized CaCu2O4 structure.

crystal system	orthorhombic
energy above the lowest structure with this stoichiometry	179	meV per atom
MP2020-corrected energy	-5.816	eV per atom
VASP energy	-37.97	eV per formula unit
ΔH_f (0 K)	-10.72	eV/f.u.
density	4.60	g/cm3

Structure (extended XYZ):
```
28
Lattice="5.914 0.000 0.000 0.000 10.979 0.000 0.000 0.000 5.144" Properties=species:S:1:pos:R:3 pbc="T T T"
Ca 1.478 2.745 0.173
Ca 1.478 8.234 1.827
Ca 4.435 2.745 3.317
Ca 4.435 8.234 4.970
Cu 0.000 0.000 2.572
Cu 0.000 5.490 2.572
Cu 1.478 5.600 5.116
Cu 1.478 10.868 5.116
Cu 2.957 0.000 2.572
Cu 2.957 5.490 2.572
Cu 4.435 0.111 0.028
Cu 4.435 5.379 0.028
O 0.022 1.137 4.295
O 0.022 4.353 4.295
O 1.478 0.978 1.668
O 1.478 4.511 1.668
O 1.478 6.564 3.397
O 1.478 9.905 3.397
O 2.934 1.137 4.295
O 2.934 4.353 4.295
O 2.979 6.626 0.849
O 2.979 9.843 0.849
O 4.435 1.074 1.746
O 4.435 4.415 1.746
O 4.435 6.468 3.476
O 4.435 10.001 3.476
O 5.891 6.626 0.849
O 5.891 9.843 0.849
```

---

# 11
## Ca2CuO3 (PBE)

Data for a geometry-optimized Ca2CuO3 structure.

crystal system	orthorhombic
energy above the lowest structure with this stoichiometry	0	meV per atom
MP2020-corrected energy	-6.354	eV per atom
VASP energy	-36.06	eV per formula unit
ΔH_f (0 K)	-15.17	eV/f.u.
density	4.14	g/cm3

Structure (extended XYZ):
```
6
Lattice="-1.645 1.916 6.092 1.645 -1.916 6.092 1.645 1.916 -6.092" Properties=species:S:1:pos:R:3 pbc="T T T"
Ca 0.000 0.000 1.817
Ca 0.000 0.000 10.367
Cu 0.000 0.000 6.092
O 1.645 0.000 0.000
O 0.000 0.000 4.136
O 0.000 0.000 8.048
```

---

# 12
## CaCu2O3 (PBE)

Data for a geometry-optimized CaCu2O3 structure.

crystal system	orthorhombic
MP2020-corrected energy	-5.898	eV per atom
VASP energy	-33.33	eV per formula unit
ΔH_f (0 K)	-10.34	eV/f.u.
density	4.69	g/cm3

Structure (extended XYZ):
```
12
Lattice="4.136 0.000 0.000 0.000 10.089 0.000 0.000 0.000 3.651" Properties=species:S:1:pos:R:3 pbc="T T T"
Ca 1.034 2.522 0.410
Ca 3.102 7.567 3.242
Cu 1.034 5.915 1.368
Cu 1.034 9.218 1.368
Cu 3.102 0.871 2.283
Cu 3.102 4.174 2.283
O 1.034 0.856 2.148
O 1.034 4.188 2.148
O 1.034 7.567 0.485
O 3.102 2.522 3.166
O 3.102 5.901 1.503
O 3.102 9.233 1.503
```

---

# 13
## Ca5Cu6O12 (PBE)

Data for a geometry-optimized Ca5Cu6O12 structure.

crystal system	monoclinic
MP2020-corrected energy	-6.078	eV per atom
VASP energy	-131.54	eV per formula unit
ΔH_f (0 K)	-45.78	eV/f.u.
density	4.41	g/cm3

Structure (extended XYZ):
```
46
Lattice="5.472 0.000 0.000 0.000 6.466 0.000 -4.401 0.000 16.456" Properties=species:S:1:pos:R:3 pbc="T T T"
Ca -1.100 1.577 4.114
Ca -3.300 4.889 12.342
Ca -1.963 1.612 7.438
Ca -4.163 4.854 15.666
Ca -3.711 1.644 14.066
Ca -1.510 4.822 5.838
Ca 2.582 1.644 10.619
Ca 4.782 4.822 2.391
Ca 5.235 1.612 0.790
Ca 3.035 4.854 9.018
Cu 2.345 3.163 1.349
Cu 0.144 3.303 9.577
Cu -0.219 0.088 10.952
Cu 1.981 6.378 2.723
Cu 2.736 0.000 0.000
Cu 0.536 0.000 8.228
Cu 1.636 3.146 4.114
Cu -0.564 3.320 12.342
Cu -0.909 0.088 13.733
Cu 1.291 6.378 5.505
Cu 0.927 3.163 6.879
Cu -1.273 3.303 15.107
O -1.131 0.357 9.289
O 1.070 6.109 1.061
O -2.926 2.862 16.084
O -0.726 3.604 7.856
O 0.718 2.942 2.476
O -1.482 3.524 10.704
O -0.306 0.261 6.471
O -2.506 6.204 14.699
O -1.784 0.158 12.039
O 0.416 6.308 3.811
O -2.116 3.188 13.372
O 0.085 3.277 5.144
O 0.987 3.188 11.313
O 3.187 3.277 3.084
O 0.655 0.158 12.646
O 2.856 6.308 4.417
O 3.577 0.261 1.757
O 1.377 6.204 9.985
O 2.553 2.942 5.752
O 0.353 3.524 13.980
O 1.797 2.862 8.600
O 3.998 3.604 0.372
O 0.002 0.357 15.395
O 2.202 6.109 7.167
```

---

# 14
## CaCu2O4 (PBE)

Data for a geometry-optimized CaCu2O4 structure.

crystal system	monoclinic
energy above the lowest structure with this stoichiometry	168	meV per atom
MP2020-corrected energy	-5.827	eV per atom
VASP energy	-38.04	eV per formula unit
ΔH_f (0 K)	-10.80	eV/f.u.
density	4.02	g/cm3

Structure (extended XYZ):
```
14
Lattice="3.382 0.000 0.000 0.000 10.347 0.000 -0.010 0.000 5.456" Properties=species:S:1:pos:R:3 pbc="T T T"
Ca 0.023 0.000 1.417
Ca 3.349 5.174 4.038
Cu 1.666 5.675 1.305
Cu 1.673 2.883 1.389
Cu 1.698 8.057 4.067
Cu 1.705 0.501 4.151
O 1.658 4.220 0.123
O 1.653 4.287 2.552
O 1.661 6.581 5.182
O 1.686 1.482 2.615
O 1.685 6.655 2.841
O 1.711 1.407 0.274
O 1.714 9.394 5.332
O 1.719 9.461 2.904
```

---

# 15
## CaCu3O4 (PBE)

Data for a geometry-optimized CaCu3O4 structure.

crystal system	cubic
MP2020-corrected energy	-5.823	eV per atom
VASP energy	-43.83	eV per formula unit
ΔH_f (0 K)	-12.49	eV/f.u.
density	5.58	g/cm3

Structure (extended XYZ):
```
16
Lattice="5.599 0.000 0.000 0.000 5.599 0.000 0.000 0.000 5.599" Properties=species:S:1:pos:R:3 pbc="T T T"
Ca 0.000 0.000 0.000
Ca 2.799 2.799 2.799
Cu 0.000 1.400 2.799
Cu 0.000 4.199 2.799
Cu 1.400 2.799 0.000
Cu 2.799 0.000 1.400
Cu 2.799 0.000 4.199
Cu 4.199 2.799 0.000
O 1.400 1.400 1.400
O 1.400 1.400 4.199
O 1.400 4.199 1.400
O 1.400 4.199 4.199
O 4.199 1.400 1.400
O 4.199 1.400 4.199
O 4.199 4.199 1.400
O 4.199 4.199 4.199
```